(1)
A relaxed Na4Nb3GaSi4P2O24 crystal, computed with PBE-GGA.

a = 8.9107 Å, b = 8.9238 Å, c = 22.5674 Å
α = 89.90°, β = 89.81°, γ = 119.93°
Last column: nearest neighbours and their distance in Å.
Atoms (fractional coordinates):
Si  0.7065  0.0059  0.7491  4 O 1.61-1.67
Si  0.6669  0.6172  0.5864  4 O 1.60-1.67
Si  0.9527  0.3361  0.5872  4 O 1.60-1.67
Si  0.6643  0.0491  0.0865  4 O 1.60-1.66
Si  0.3874  0.3384  0.0874  4 O 1.59-1.69
Si  0.0436  0.3794  0.9168  4 O 1.62-1.64
Si  0.0482  0.6777  0.4156  4 O 1.61-1.67
Si  0.6247  0.9574  0.4146  4 O 1.63-1.65
Si  0.3328  0.9570  0.9176  4 O 1.62-1.65
Si  0.6257  0.6665  0.9154  4 O 1.62-1.65
Si  0.2974  0.2876  0.7479  4 O 1.61-1.67
Si  0.9474  0.6156  0.0862  4 O 1.60-1.66
O  0.8533  0.3600  0.9213  1 Si 1.62
O  0.3672  0.4985  0.3608  1 P 1.56
O  0.1464  0.5040  0.5757  1 Si 1.65
O  0.1973  0.1688  0.8064  1 Si 1.65
O  0.8428  0.8094  0.5886  1 Si 1.65
O  0.1350  0.4939  0.8567  1 Si 1.64
O  0.6886  0.5256  0.5252  1 Si 1.67
O  0.0217  0.1982  0.1963  1 P 1.58
O  0.5291  0.6917  0.2558  1 P 1.58
O  0.8306  0.5325  0.0265  1 Si 1.64
O  0.1657  0.4676  0.2567  1 P 1.59
O  0.1631  0.1913  0.6925  1 Si 1.65
O  0.1795  0.9775  0.1945  1 P 1.57
O  0.1640  0.6920  0.7543  1 P 1.56
O  0.7082  0.1718  0.0274  1 Si 1.64
O  0.8704  0.3658  0.6460  1 Si 1.60
O  0.1601  0.4678  0.9761  1 Si 1.64
O  0.6426  0.1489  0.4212  1 Si 1.64
O  0.3011  0.4634  0.4708  1 P 1.56
O  0.6926  0.5247  0.2455  1 P 1.52
O  0.1588  0.9706  0.9099  1 Si 1.62
O  0.9750  0.1629  0.5888  1 Si 1.65
O  0.7008  0.1824  0.7441  1 Si 1.61
O  0.8552  0.4984  0.4228  1 Si 1.67
O  0.4993  0.3705  0.1455  1 Si 1.59
O  0.3595  0.8586  0.8599  1 Si 1.65
O  0.3025  0.8360  0.2566  1 P 1.60
O  0.1672  0.6933  0.4728  1 Si 1.63
O  0.8404  0.5341  0.7466  1 P 1.54
O  0.4742  0.1645  0.2463  1 P 1.52
O  0.6189  0.1250  0.1437  1 Si 1.60
O  0.5058  0.6393  0.8564  1 Si 1.65
O  0.1982  0.0265  0.5887  1 P 1.54
O  0.3605  0.8641  0.5758  1 P 1.56
O  0.4951  0.8556  0.0778  1 Si 1.64
O  0.8349  0.3075  0.2465  1 P 1.52
O  0.0289  0.8276  0.6939  1 P 1.55
O  0.6372  0.4919  0.9217  1 Si 1.62
O  0.5289  0.6943  0.9730  1 Si 1.64
O  0.1996  0.0263  0.3061  1 P 1.53
O  0.5060  0.1447  0.9222  1 Si 1.62
O  0.9812  0.8158  0.0928  1 Si 1.66
O  0.6329  0.5049  0.6456  1 Si 1.60
O  0.9753  0.8036  0.8044  1 P 1.55
O  0.5312  0.8290  0.4715  1 Si 1.64
O  0.0271  0.1891  0.9114  1 Si 1.63
O  0.5209  0.8240  0.7534  1 Si 1.64
O  0.8739  0.4907  0.1428  1 Si 1.60
O  0.1365  0.6306  0.3593  1 Si 1.66
O  0.3056  0.8405  0.9772  1 Si 1.64
O  0.4919  0.3201  0.7453  1 Si 1.61
O  0.1668  0.2005  0.4092  1 P 1.53
O  0.4693  0.1600  0.5287  1 P 1.57
O  0.8337  0.0299  0.8055  1 Si 1.65
O  0.0164  0.8395  0.4093  1 Si 1.61
O  0.1458  0.6468  0.0774  1 Si 1.66
O  0.8053  0.8259  0.1981  1 P 1.58
O  0.8351  0.3054  0.5261  1 Si 1.67
O  0.4971  0.8562  0.3581  1 Si 1.65
O  0.9760  0.1799  0.3090  1 P 1.54
O  0.1877  0.1639  0.0939  1 Si 1.69
O  0.8145  0.7888  0.3095  1 P 1.54
O  0.4981  0.3660  0.4225  1 P 1.56
O  0.3450  0.4969  0.0787  1 Si 1.65
O  0.8179  0.9826  0.4085  1 Si 1.63
O  0.4907  0.1225  0.6401  1 P 1.52
O  0.8407  0.0316  0.0930  1 Si 1.66
O  0.8000  0.9644  0.6923  1 Si 1.67
O  0.4646  0.2920  0.0282  1 Si 1.65
O  0.3034  0.4766  0.7539  1 Si 1.67
O  0.8138  0.8382  0.9091  1 Si 1.62
O  0.4985  0.6442  0.5752  1 Si 1.65
Na  0.9903  0.9902  0.9958  5 O 2.46-2.68
Na  0.0283  0.3397  0.0845  4 O 2.40-2.60
Na  0.0085  0.9976  0.4981  6 O 2.47-2.63
Na  0.3344  0.6735  0.6655  6 O 2.51-2.59
Na  0.6569  0.3238  0.3231  3 O 2.32-2.41
Na  0.3087  0.9740  0.0844  4 O 2.38-2.54
Na  0.9674  0.2957  0.4120  5 O 2.32-2.56
Na  0.6547  0.3203  0.8319  6 O 2.44-2.63
Na  0.9941  0.3674  0.7464  5 O 2.29-2.52
Na  0.6357  0.6248  0.7452  5 O 2.34-2.58
Na  0.7066  0.6774  0.4139  5 O 2.39-2.55
Na  0.3436  0.6654  0.1660  6 O 2.49-2.68
P  0.7119  0.7029  0.2527  4 O 1.52-1.58
P  0.9931  0.2854  0.2525  4 O 1.52-1.59
P  0.3305  0.3771  0.4153  4 O 1.53-1.56
P  0.2923  0.0101  0.2515  4 O 1.52-1.60
P  0.0016  0.7149  0.7496  4 O 1.54-1.56
P  0.3806  0.0468  0.5852  4 O 1.52-1.57
Nb  0.0047  0.0099  0.8556  6 O 1.93-2.08
Nb  0.9930  0.0011  0.6433  6 O 1.93-2.12
Nb  0.3350  0.6688  0.5229  6 O 1.97-2.07
Nb  0.6695  0.3323  0.4801  6 O 1.92-2.14
Nb  0.3365  0.6701  0.8130  6 O 1.91-2.11
Nb  0.9951  0.9963  0.1462  6 O 1.97-2.05
Nb  0.3385  0.6677  0.0210  6 O 1.92-2.07
Nb  0.6674  0.3344  0.9774  6 O 1.98-2.02
Nb  0.3311  0.6718  0.3093  6 O 1.92-2.08
Ga  0.6581  0.3255  0.6854  5 O 1.94-2.00
Ga  0.6664  0.3331  0.1837  3 O 1.89-1.91
Ga  0.0003  0.9959  0.3506  6 O 1.93-2.15

Output
- SG: No. 1

***

(2)
A relaxed Na5Nb2Ga2Si3P3O24 crystal, computed with PBE-GGA.

a = 8.8782 Å, b = 8.8777 Å, c = 22.3904 Å
α = 89.52°, β = 90.47°, γ = 119.80°
Last column: nearest neighbours and their distance in Å.
Atoms (fractional coordinates):
Na  0.3018  0.9627  0.0808  5 O 2.36-2.60
Na  0.9920  0.6277  0.2476  5 O 2.34-2.58
Na  0.9724  0.6732  0.9161  4 O 2.31-2.54
Na  0.9962  0.0010  0.9944  6 O 2.44-2.68
Na  0.0371  0.6977  0.5808  5 O 2.36-2.58
Na  0.6687  0.3309  0.8287  6 O 2.41-2.69
Na  0.3357  0.6542  0.6626  5 O 2.39-2.65
Na  0.3714  0.0086  0.7478  5 O 2.34-2.58
Na  0.0384  0.3456  0.0824  5 O 2.36-2.60
Na  0.3290  0.0277  0.4158  4 O 2.30-2.56
Na  0.6631  0.3316  0.3278  6 O 2.42-2.66
Na  0.9966  0.9950  0.4953  5 O 2.39-2.63
Na  0.6537  0.9599  0.5816  5 O 2.38-2.55
Na  0.9687  0.2952  0.4133  5 O 2.36-2.55
Na  0.3445  0.6634  0.1631  6 O 2.43-2.71
O  0.1621  0.7015  0.4767  1 Si 1.62
O  0.4994  0.1249  0.6433  1 Si 1.61
O  0.5021  0.8620  0.0759  1 P 1.52
O  0.3603  0.8622  0.8584  1 Si 1.67
O  0.3024  0.8343  0.2556  1 P 1.59
O  0.3643  0.4956  0.3613  1 P 1.57
O  0.0263  0.1971  0.1918  1 Si 1.67
O  0.6429  0.5045  0.9223  1 P 1.59
O  0.5366  0.6960  0.9733  1 P 1.52
O  0.1816  0.0215  0.5901  1 Si 1.66
O  0.1515  0.6487  0.0773  1 Si 1.63
O  0.2951  0.8352  0.9762  1 Si 1.62
O  0.3027  0.4694  0.7570  1 P 1.56
O  0.1513  0.4536  0.9749  1 P 1.53
O  0.8254  0.9891  0.4116  1 Si 1.61
O  0.2967  0.4609  0.4725  1 P 1.53
O  0.8287  0.7897  0.3053  1 P 1.53
O  0.1692  0.4826  0.2558  1 Si 1.68
O  0.7041  0.5337  0.5271  1 Si 1.68
O  0.8759  0.5008  0.1430  1 Si 1.61
O  0.0341  0.8490  0.4079  1 Si 1.61
O  0.8407  0.2984  0.5269  1 P 1.59
O  0.1387  0.4980  0.5759  1 P 1.52
O  0.4698  0.3066  0.7444  1 P 1.53
O  0.4674  0.1651  0.5247  1 Si 1.67
O  0.6293  0.1225  0.1391  1 P 1.52
O  0.6802  0.1713  0.7442  1 Si 1.62
O  0.1648  0.6942  0.7564  1 P 1.59
O  0.8005  0.9722  0.6912  1 Si 1.67
O  0.6409  0.1474  0.4225  1 Si 1.68
O  0.5193  0.8310  0.7570  1 Si 1.70
O  0.1718  0.2002  0.6953  1 P 1.58
O  0.6394  0.5006  0.6435  1 Si 1.59
O  0.8274  0.3183  0.2443  1 Si 1.62
O  0.4958  0.8620  0.3604  1 Si 1.67
O  0.4975  0.3599  0.4220  1 P 1.57
O  0.5070  0.1468  0.9220  1 Si 1.65
O  0.6936  0.5289  0.2441  1 P 1.53
O  0.8083  0.8257  0.9110  1 P 1.52
O  0.8651  0.3652  0.9219  1 P 1.58
O  0.9724  0.1733  0.3111  1 Si 1.61
O  0.8762  0.3697  0.6385  1 P 1.52
O  0.5428  0.8431  0.4780  1 Si 1.61
O  0.9696  0.1673  0.5894  1 P 1.57
O  0.9791  0.8175  0.0902  1 Si 1.66
O  0.4995  0.3622  0.1433  1 Si 1.59
O  0.1883  0.1636  0.0907  1 Si 1.70
O  0.2085  0.0282  0.3077  1 P 1.52
O  0.7018  0.1637  0.0284  1 P 1.58
O  0.1727  0.9682  0.1951  1 P 1.60
O  0.5056  0.6376  0.8619  1 P 1.58
O  0.3481  0.5045  0.0756  1 Si 1.61
O  0.9719  0.7900  0.8079  1 P 1.52
O  0.1759  0.1961  0.4109  1 P 1.53
O  0.1322  0.6314  0.3585  1 Si 1.68
O  0.4932  0.6483  0.5776  1 Si 1.61
O  0.8325  0.0306  0.0893  1 P 1.57
O  0.8350  0.5315  0.0239  1 Si 1.66
O  0.8367  0.8119  0.5910  1 Si 1.70
O  0.2083  0.1698  0.8060  1 P 1.53
O  0.7997  0.8275  0.1949  1 P 1.58
O  0.0332  0.8270  0.6954  1 P 1.60
O  0.8561  0.4918  0.4221  1 Si 1.66
O  0.8348  0.0304  0.8091  1 Si 1.59
O  0.1529  0.9698  0.9081  1 Si 1.63
O  0.0240  0.1914  0.9107  1 P 1.53
O  0.4671  0.2959  0.0270  1 Si 1.68
O  0.8347  0.5233  0.7433  1 P 1.52
O  0.3488  0.8478  0.5787  1 Si 1.63
O  0.4759  0.1652  0.2434  1 P 1.52
O  0.1345  0.4966  0.8627  1 P 1.57
O  0.5297  0.6955  0.2559  1 P 1.56
Si  0.9563  0.6206  0.0843  4 O 1.61-1.66
Si  0.3851  0.3463  0.0862  4 O 1.59-1.70
Si  0.6540  0.6149  0.5865  4 O 1.59-1.70
Si  0.9905  0.2849  0.2519  4 O 1.61-1.68
Si  0.3777  0.0430  0.5854  4 O 1.61-1.67
Si  0.3273  0.9560  0.9176  4 O 1.62-1.67
Si  0.7185  0.0119  0.7522  4 O 1.59-1.70
Si  0.6292  0.9528  0.4183  4 O 1.61-1.68
Si  0.0448  0.6743  0.4177  4 O 1.61-1.68
Ga  0.6664  0.3315  0.6850  5 O 1.87-2.08
Ga  0.3410  0.6736  0.5181  5 O 1.90-2.04
Ga  0.9848  0.9907  0.3516  5 O 1.90-2.10
Ga  0.6691  0.3336  0.1846  5 O 1.88-2.09
Ga  0.3314  0.6642  0.0179  6 O 1.93-2.10
Ga  0.0037  0.0103  0.8521  4 O 1.86-2.02
P  0.7102  0.7078  0.2510  4 O 1.53-1.58
P  0.0465  0.3727  0.9177  4 O 1.53-1.58
P  0.3312  0.3792  0.4182  4 O 1.53-1.57
P  0.9904  0.7031  0.7524  4 O 1.52-1.60
P  0.2956  0.0100  0.2522  4 O 1.52-1.60
P  0.2909  0.2889  0.7517  4 O 1.53-1.58
P  0.6611  0.0409  0.0845  4 O 1.52-1.58
P  0.6246  0.6735  0.9186  4 O 1.52-1.59
P  0.9602  0.3391  0.5844  4 O 1.52-1.59
Nb  0.3402  0.6710  0.8120  6 O 1.93-2.07
Nb  0.9998  0.0011  0.1460  6 O 1.94-2.06
Nb  0.3327  0.6660  0.3122  6 O 1.95-2.07
Nb  0.9984  0.0002  0.6465  6 O 1.93-2.06
Nb  0.6573  0.3294  0.9787  5 O 1.91-2.05
Nb  0.6663  0.3394  0.4793  6 O 1.92-2.05

Output
- SG: No. 1

***

no.,ΔE_f (meV/atom),calculated volume (Å³/cell),theoretical density (g cm⁻³)
1,-2877,1555.21,3.2
2,-2749,1531.30,3.3